Record 1
## BaSrTbCeO6 (PBE)

Data for crystalline BaSrTbCeO6 at its relaxed geometry.

The calculation puts the total magnetization at 1.00 μB/f.u. The value obtained for the energy relative to the elements is -3285 meV/atom. As for the energy above the most stable polymorph in this dataset: 0.83 eV/f.u.

abc: 8.8352 8.8352 8.8352
angles: 90.00 90.00 90.00
Closest atoms and distances in Å follow each position.
Space group F-43m (No. 216)
Asymmetric unit:
Ba  0.0000  0.0000  0.0000 x4  12 O 3.12
Sr  0.0000  0.0000  0.5000 x4  12 O 3.12
Tb  0.2500  0.2500  0.2500 x4  6 O 2.23
Ce  0.2500  0.2500  0.7500 x4  6 O 2.19
O  0.0019  0.2500  0.7500 x24  1 Ce 2.19, 1 Tb 2.23

---

Record 2
## HoNi2 (PBE)

Data for crystalline HoNi2 at its relaxed geometry.

The value obtained for the energy relative to the elements is -464 meV/atom.

abc: 7.1303 7.1303 7.1303
angles: 90.00 90.00 90.00
Closest atoms and distances in Å follow each position.
Space group Fd-3m (No. 227, origin choice 2)
Asymmetric unit:
Ho  0.1250  0.1250  0.1250 x8  12 Ni 2.96, 4 Ho 3.09
Ni  0.0000  0.0000  0.5000 x16  6 Ni 2.52

---

Record 3
## NaSmHf2O6 (PBE)

Data for crystalline NaSmHf2O6 at its relaxed geometry.

The calculation puts the total magnetization at 0.00 μB/f.u. The value obtained for the energy relative to the elements is -3497 meV/atom.

abc: 8.1844 8.1844 8.1844
angles: 90.00 90.00 90.00
Closest atoms and distances in Å follow each position.
Space group Fm-3m (No. 225)
Asymmetric unit:
Na  0.0000  0.0000  0.0000 x4  12 O 2.89
Sm  0.0000  0.0000  0.5000 x4  12 O 2.89
Hf  0.2500  0.2500  0.2500 x8  6 O 2.05
O  0.0000  0.2500  0.2500 x24  2 Hf 2.05

---

Record 4
## Mn6Al31Ni2 (PBE)

Data for crystalline Mn6Al31Ni2 at its relaxed geometry.

The calculation puts the total magnetization at 0.03 μB/f.u. The value obtained for the energy relative to the elements is -219 meV/atom.

abc: 7.7630 23.8373 12.3885
angles: 90.00 90.00 90.00
Closest atoms and distances in Å follow each position.
Space group Cmcm (No. 63)
Asymmetric unit:
Mn  0.0000  0.0409  0.2500 x4  10 Al 2.46-2.71
Mn  0.0000  0.1416  0.5523 x8  7 Al 2.45-2.60
Mn  0.0000  0.4124  0.5781 x8  10 Al 2.51-2.78
Mn  0.0000  0.4181  0.2500 x4  9 Al 2.41-2.54
Al  0.0000  0.0399  0.6134 x8  2 Mn 2.54-2.56, 7 Al 2.71-2.84
Al  0.0000  0.1356  0.7500 x4  2 Mn 2.45
Al  0.0000  0.1377  0.1500 x8  6 Al 2.48-2.71, 2 Mn 2.51-2.62, 2 Ni 2.63
Al  0.0000  0.2406  0.0616 x8  8 Al 2.69-2.89, 1 Mn 2.75, 2 Ni 2.80
Al  0.0000  0.3031  0.7500 x4  2 Ni 2.49, 6 Al 2.74-2.78
Al  0.0000  0.3117  0.2500 x4  1 Mn 2.54, 2 Ni 2.72
Al  0.0000  0.4819  0.0922 x8  5 Al 2.44-2.67, 3 Mn 2.48-2.68
Al  0.1837  0.2182  0.6256 x16  1 Ni 2.45, 1 Mn 2.49, 1 Al 2.73
Al  0.1886  0.4003  0.7500 x8  3 Mn 2.60-2.79, 8 Al 2.67-2.86
Al  0.1904  0.0537  0.0683 x16  2 Mn 2.54-2.71, 5 Al 2.67-2.73
Al  0.1907  0.3890  0.1066 x16  2 Mn 2.41-2.60, 2 Al 2.59-2.67
Al  0.1934  0.3284  0.5672 x16  1 Mn 2.51, 5 Al 2.59-2.80, 1 Ni 2.66
Al  0.2342  0.4850  0.2500 x8  2 Mn 2.42-2.46, 2 Al 2.67
Ni  0.1837  0.2146  0.2500 x8  8 Al 2.45-2.72

---

Record 5
## SnPPd5 (PBE)

Data for crystalline SnPPd5 at its relaxed geometry.

The value obtained for the energy relative to the elements is -544 meV/atom.

abc: 4.0011 4.0011 7.0391
angles: 90.00 90.00 90.00
Closest atoms and distances in Å follow each position.
Space group P4/mmm (No. 123)
Asymmetric unit:
Sn  0.0000  0.0000  0.0000 x1  12 Pd 2.83-2.91
P  0.5000  0.5000  0.5000 x1  8 Pd 2.45
Pd  0.0000  0.5000  0.2995 x4  2 P 2.45
Pd  0.5000  0.5000  0.0000 x1  4 Sn 2.83, 8 Pd 2.91

---

Record 6
## NaMgCu2O3 (PBE)

Data for crystalline NaMgCu2O3 at its relaxed geometry.

The calculation puts the total magnetization at 0.00 μB/f.u. The value obtained for the energy relative to the elements is -1443 meV/atom. As for the energy above the most stable polymorph in this dataset: 0.00 eV/f.u.

abc: 3.5934 3.1267 7.7786
angles: 90.00 90.89 90.00
Closest atoms and distances in Å follow each position.
Space group P2/m (No. 10)
Asymmetric unit:
Na  0.0000  0.0000  0.0000 x1  4 O 2.38
Mg  0.0000  0.0000  0.5000 x1  4 O 2.05
Cu  0.4915  0.5000  0.7553 x2  3 O 1.90-1.92
O  0.0126  0.5000  0.3292 x2  2 Cu 1.91-1.92, 2 Mg 2.05
O  0.5000  0.5000  0.0000 x1  2 Cu 1.90

---

Record 7
## Sb2Te2O9 (PBE)

Data for crystalline Sb2Te2O9 at its relaxed geometry.

The calculation puts the total magnetization at 0.01 μB/f.u. The value obtained for the energy relative to the elements is -1569 meV/atom. As for the energy above the most stable polymorph in this dataset: 1.36 eV/f.u.

abc: 22.3628 5.1028 14.7386
angles: 90.00 107.74 90.00
Closest atoms and distances in Å follow each position.
Space group P2_1/c (No. 14)
Asymmetric unit:
Sb  0.0512  0.1893  0.2177 x4  6 O 1.99-2.07
Sb  0.1524  0.6878  0.1601 x4  6 O 1.99-2.04
Sb  0.3227  0.1314  0.4747 x4  5 O 1.91-2.03
Sb  0.4447  0.7201  0.6375 x4  3 O 2.07-2.11
Te  0.0555  0.1429  0.4441 x4  3 O 1.90-1.95
Te  0.2095  0.6019  0.3998 x4  3 O 1.90-1.93
Te  0.2662  0.1592  0.1741 x4  3 O 1.91-1.95
Te  0.4217  0.6766  0.8451 x4  5 O 1.84-2.02
O  0.0076  0.1339  0.5881 x4  1 Te 1.95, 1 Sb 2.07
O  0.0266  0.0224  0.7941 x4  2 Sb 2.01-2.03
O  0.0742  0.6074  0.6472 x4  2 Sb 1.99-2.00
O  0.0943  0.0437  0.3491 x4  1 Te 1.93, 1 Sb 2.02
O  0.1176  0.5807  0.0244 x4  1 Te 1.90, 1 Sb 1.99
O  0.1304  0.1151  0.7287 x4  2 Sb 1.99-2.00
O  0.1866  0.5019  0.6087 x4  1 Te 1.93, 1 Sb 2.00
O  0.2012  0.6801  0.7903 x4  1 Te 1.92, 1 Sb 2.01
O  0.2336  0.5076  0.1604 x4  1 Te 1.91, 1 Sb 2.04
O  0.2596  0.6334  0.9772 x4  1 Te 1.90, 1 Sb 1.96
O  0.2745  0.1077  0.8751 x4  1 Te 1.93, 1 Sb 2.03
O  0.2798  0.1419  0.0495 x4  1 Te 1.95, 1 Sb 2.03
O  0.3507  0.0323  0.3680 x4  1 Sb 1.93, 1 Te 2.02
O  0.3724  0.6047  0.7169 x4  1 Te 1.91
O  0.3895  0.0555  0.5879 x4  2 Sb 1.91-2.11
O  0.4215  0.5988  0.4426 x4  1 Te 1.84
O  0.4715  0.6226  0.2766 x4  1 Te 2.00, 1 Sb 2.11
O  0.4795  0.0938  0.3879 x4  1 Te 1.86, 1 Sb 2.07

---

Record 8
## Rb2SmCuCl6 (PBE)

Data for crystalline Rb2SmCuCl6 at its relaxed geometry.

The calculation puts the total magnetization at 0.00 μB/f.u. The value obtained for the energy relative to the elements is -2123 meV/atom.

abc: 10.5258 10.5258 10.5258
angles: 90.00 90.00 90.00
Closest atoms and distances in Å follow each position.
Space group Fm-3m (No. 225)
Asymmetric unit:
Rb  0.2500  0.2500  0.2500 x8  12 Cl 3.72
Sm  0.0000  0.0000  0.0000 x4  6 Cl 2.70
Cu  0.0000  0.0000  0.5000 x4  6 Cl 2.57
Cl  0.0000  0.0000  0.2563 x24  1 Cu 2.57, 1 Sm 2.70

---

Record 9
## Ba2NdIrO6 (PBE)

Data for crystalline Ba2NdIrO6 at its relaxed geometry.

The calculation puts the total magnetization at 2.00 μB/f.u. The value obtained for the energy relative to the elements is -2694 meV/atom.

abc: 8.5925 8.5925 8.5925
angles: 90.00 90.00 90.00
Closest atoms and distances in Å follow each position.
Space group Fm-3m (No. 225)
Asymmetric unit:
Ba  0.2500  0.2500  0.2500 x8  12 O 3.04
Nd  0.0000  0.0000  0.0000 x4  6 O 2.31
Ir  0.0000  0.0000  0.5000 x4  6 O 1.98
O  0.0000  0.0000  0.2690 x24  1 Ir 1.98

---

Record 10
## EuGa3Cu (PBE)

Data for crystalline EuGa3Cu at its relaxed geometry.

The value obtained for the energy relative to the elements is -418 meV/atom.

abc: 4.2779 4.2779 10.6207
angles: 90.00 90.00 90.00
Closest atoms and distances in Å follow each position.
Space group I-4m2 (No. 119)
Asymmetric unit:
Eu  0.0000  0.0000  0.0000 x2  12 Ga 3.28-3.41, 4 Cu 3.41
Ga  0.0000  0.0000  0.3815 x4  3 Ga 2.52-2.55, 2 Cu 2.55
Ga  0.0000  0.5000  0.2500 x2  4 Ga 2.55
Cu  0.0000  0.5000  0.7500 x2  4 Ga 2.55

---

Record 11
## ZnGa2S4 (PBE)

Data for crystalline ZnGa2S4 at its relaxed geometry.

The value obtained for the energy relative to the elements is -1019 meV/atom. The piezoelectric modulus e_max comes out at 0.10 C/m2.

abc: 5.3709 5.3709 10.4968
angles: 90.00 90.00 90.00
Closest atoms and distances in Å follow each position.
Space group I-4 (No. 82)
Asymmetric unit:
Zn  0.0000  0.0000  0.0000 x2  4 S 2.37
Ga  0.0000  0.0000  0.5000 x2  4 S 2.31
Ga  0.0000  0.5000  0.7500 x2  4 S 2.31
S  0.2407  0.2503  0.3697 x8  2 Ga 2.31, 1 Zn 2.37

---

Record 12
## NpSe2O6 (PBE)

Data for crystalline NpSe2O6 at its relaxed geometry.

The calculation puts the total magnetization at 3.00 μB/f.u. The value obtained for the energy relative to the elements is -2000 meV/atom.

abc: 7.0750 10.9280 8.6671
angles: 90.00 125.30 90.00
Closest atoms and distances in Å follow each position.
Space group P2_1/c (No. 14)
Asymmetric unit:
Np  0.2476  0.0965  0.0054 x4  7 O 2.25-2.46
Se  0.2147  0.0774  0.4306 x4  3 O 1.73-1.75
Se  0.3125  0.7137  0.5747 x4  3 O 1.71-1.77
O  0.0256  0.0154  0.7125 x4  1 Se 1.74
O  0.0811  0.2204  0.3814 x4  1 Se 1.75
O  0.1185  0.6012  0.5495 x4  1 Se 1.76
O  0.3444  0.0926  0.3125 x4  1 Se 1.73
O  0.4568  0.7461  0.3077 x4  1 Se 1.71
O  0.4950  0.5981  0.5860 x4  1 Se 1.77

---

Record 13
## MgTiWS4 (PBE)

Data for crystalline MgTiWS4 at its relaxed geometry.

The calculation puts the total magnetization at 0.63 μB/f.u. The value obtained for the energy relative to the elements is -1151 meV/atom.

abc: 7.1429 7.4089 10.3765
angles: 90.00 90.00 90.00
Closest atoms and distances in Å follow each position.
Space group Imm2 (No. 44)
Asymmetric unit:
Mg  0.0000  0.0000  0.0000 x2  4 S 2.39-2.41
Mg  0.0000  0.5000  0.2527 x2  4 S 2.38-2.41
Ti  0.0000  0.2499  0.6264 x4  6 S 2.49-2.51
W  0.2490  0.5000  0.8762 x4  6 S 2.48-2.49
S  0.0000  0.2320  0.3850 x4  1 Mg 2.41, 2 W 2.49, 1 Ti 2.51
S  0.0000  0.2673  0.8676 x4  1 Mg 2.41, 2 W 2.48, 1 Ti 2.51
S  0.2329  0.0000  0.6154 x4  1 Mg 2.38, 1 W 2.49, 2 Ti 2.49
S  0.2327  0.5000  0.6379 x4  1 Mg 2.39, 1 W 2.48, 2 Ti 2.49